(1)
The following is a DFT calculation (PBE+U) of an optimized crystal structure of LiVF4.

Properties
formation energy from the elements	-3.15	eV per atom
calculated density	2.67	g/cm³

a b c (Å): 8.040 8.040 12.626
angles (deg): 59.83 59.83 28.56
Sites, in units of the cell vectors:
1 Li 0.200 0.200 0.335
2 Li 0.341 0.341 0.822
3 Li 0.659 0.659 0.178
4 Li 0.800 0.800 0.665
5 V 0.965 0.965 0.368
6 V 0.862 0.862 0.141
7 V 0.138 0.138 0.859
8 V 0.035 0.035 0.632
9 F 0.481 0.481 0.350
10 F 0.925 0.925 0.243
11 F 0.832 0.832 0.500
12 F 0.351 0.351 0.159
13 F 0.724 0.724 0.285
14 F 0.800 0.800 0.045
15 F 0.886 0.886 0.757
16 F 0.114 0.114 0.243
17 F 0.200 0.200 0.955
18 F 0.276 0.276 0.715
19 F 0.649 0.649 0.841
20 F 0.168 0.168 0.500
21 F 0.000 0.000 0.000
22 F 0.075 0.075 0.757
23 F 0.519 0.519 0.650
24 F 0.000 0.000 0.500

---

(2)
The following is a DFT calculation (PBE+U) of an optimized crystal structure of FeSeO3F.

Properties
formation energy from the elements	-1.69	eV per atom
calculated density	4.18	g/cm³

a b c (Å): 5.275 5.051 12.518
angles (deg): 74.18 90.00 90.00
Sites, in units of the cell vectors:
1 Fe 0.754 0.386 0.571
2 Fe 0.746 0.386 0.071
3 Fe 0.246 0.614 0.429
4 Fe 0.254 0.614 0.929
5 Se 0.858 0.181 0.834
6 Se 0.642 0.181 0.334
7 Se 0.142 0.819 0.166
8 Se 0.358 0.819 0.666
9 O 0.127 0.980 0.846
10 O 0.373 0.980 0.346
11 O 0.873 0.020 0.154
12 O 0.627 0.020 0.654
13 O 0.939 0.386 0.925
14 O 0.561 0.386 0.425
15 O 0.061 0.614 0.075
16 O 0.439 0.614 0.575
17 O 0.923 0.415 0.709
18 O 0.577 0.415 0.209
19 O 0.077 0.585 0.291
20 O 0.423 0.585 0.791
21 F 0.065 0.259 0.510
22 F 0.435 0.259 0.010
23 F 0.935 0.741 0.490
24 F 0.565 0.741 0.990

---

(3)
The following is a DFT calculation (PBE+U) of an optimized crystal structure of TiMn5O12.

Properties
formation energy from the elements	-2.03	eV per atom
calculated density	3.93	g/cm³

a b c (Å): 5.083 5.083 9.715
angles (deg): 90.00 90.00 120.08
Sites, in units of the cell vectors:
1 Ti 0.000 0.000 0.000
2 Mn 0.833 0.167 0.500
3 Mn 0.333 0.667 0.000
4 Mn 0.667 0.333 0.000
5 Mn 0.167 0.833 0.500
6 Mn 0.500 0.500 0.500
7 O 0.000 0.339 0.900
8 O 0.661 0.000 0.100
9 O 0.833 0.500 0.598
10 O 0.500 0.833 0.598
11 O 0.500 0.167 0.402
12 O 0.834 0.834 0.402
13 O 0.167 0.500 0.402
14 O 0.339 0.000 0.900
15 O 0.660 0.660 0.900
16 O 0.000 0.661 0.100
17 O 0.340 0.340 0.100
18 O 0.166 0.166 0.598

---

(4)
The following is a DFT calculation (PBE+U) of an optimized crystal structure of Ni4P4O15.

Properties
formation energy from the elements	-2.07	eV per atom
calculated density	3.15	g/cm³

a b c (Å): 8.672 8.672 18.071
angles (deg): 82.23 82.23 107.21
Sites, in units of the cell vectors:
1 Ni 0.914 0.268 0.434
2 Ni 0.948 0.052 0.750
3 Ni 0.000 0.500 0.000
4 Ni 0.834 0.166 0.250
5 Ni 0.961 0.850 0.068
6 Ni 0.732 0.086 0.066
7 Ni 0.850 0.961 0.568
8 Ni 0.522 0.478 0.250
9 Ni 0.500 0.000 0.500
10 Ni 0.478 0.522 0.750
11 Ni 0.150 0.039 0.432
12 Ni 0.268 0.914 0.934
13 Ni 0.039 0.150 0.932
14 Ni 0.166 0.834 0.750
15 Ni 0.052 0.948 0.250
16 Ni 0.086 0.732 0.566
17 P 0.987 0.686 0.401
18 P 0.779 0.440 0.125
19 P 0.887 0.774 0.903
20 P 0.774 0.887 0.403
21 P 0.560 0.221 0.375
22 P 0.844 0.720 0.680
23 P 0.720 0.844 0.180
24 P 0.686 0.987 0.901
25 P 0.314 0.013 0.099
26 P 0.280 0.156 0.820
27 P 0.156 0.280 0.320
28 P 0.440 0.779 0.625
29 P 0.226 0.113 0.597
30 P 0.113 0.226 0.097
31 P 0.221 0.560 0.875
32 P 0.013 0.314 0.599
33 O 0.889 0.002 0.449
34 O 0.998 0.111 0.051
35 O 0.979 0.288 0.318
36 O 0.958 0.507 0.428
37 O 0.950 0.254 0.683
38 O 0.838 0.384 0.197
39 O 0.912 0.604 0.080
40 O 0.792 0.098 0.950
41 O 0.712 0.021 0.182
42 O 0.902 0.208 0.550
43 O 0.669 0.214 0.437
44 O 0.807 0.714 0.421
45 O 0.786 0.331 0.063
46 O 0.897 0.830 0.183
47 O 0.746 0.050 0.817
48 O 0.867 0.597 0.929
49 O 0.952 0.838 0.817
50 O 0.838 0.952 0.317
51 O 0.616 0.162 0.303
52 O 0.836 0.717 0.593
53 O 0.544 0.392 0.352
54 O 0.608 0.456 0.148
55 O 0.493 0.042 0.072
56 O 0.717 0.836 0.093
57 O 0.830 0.897 0.683
58 O 0.714 0.585 0.737
59 O 0.396 0.088 0.420
60 O 0.714 0.807 0.921
61 O 0.597 0.867 0.429
62 O 0.585 0.714 0.237
63 O 0.415 0.286 0.763
64 O 0.403 0.133 0.571
65 O 0.286 0.193 0.079
66 O 0.604 0.912 0.580
67 O 0.286 0.415 0.263
68 O 0.170 0.103 0.317
69 O 0.283 0.164 0.907
70 O 0.507 0.958 0.928
71 O 0.392 0.544 0.852
72 O 0.456 0.608 0.648
73 O 0.164 0.283 0.407
74 O 0.384 0.838 0.697
75 O 0.162 0.048 0.683
76 O 0.048 0.162 0.183
77 O 0.133 0.403 0.071
78 O 0.254 0.950 0.183
79 O 0.103 0.170 0.817
80 O 0.214 0.669 0.937
81 O 0.193 0.286 0.579
82 O 0.331 0.786 0.563
83 O 0.098 0.792 0.450
84 O 0.288 0.979 0.818
85 O 0.208 0.902 0.050
86 O 0.088 0.396 0.920
87 O 0.162 0.616 0.803
88 O 0.050 0.746 0.317
89 O 0.042 0.493 0.572
90 O 0.021 0.712 0.682
91 O 0.002 0.889 0.949
92 O 0.111 0.998 0.551

---

(5)
The following is a DFT calculation (PBE+U) of an optimized crystal structure of VOF.

Properties
formation energy from the elements	-2.64	eV per atom
calculated density	4.09	g/cm³

a b c (Å): 3.098 4.749 18.998
angles (deg): 87.49 90.00 90.00
Sites, in units of the cell vectors:
1 V 0.000 0.922 0.124
2 V 0.000 0.078 0.876
3 V 0.000 0.979 0.375
4 V 0.000 0.021 0.625
5 V 0.500 0.500 0.000
6 V 0.500 0.544 0.750
7 V 0.500 0.456 0.250
8 V 0.500 0.500 0.500
9 O 0.500 0.771 0.073
10 O 0.000 0.735 0.701
11 O 0.000 0.694 0.450
12 O 0.000 0.655 0.201
13 O 0.000 0.265 0.299
14 O 0.000 0.345 0.799
15 O 0.000 0.306 0.550
16 O 0.500 0.229 0.927
17 F 0.500 0.773 0.327
18 F 0.500 0.815 0.577
19 F 0.500 0.842 0.829
20 F 0.000 0.715 0.949
21 F 0.000 0.285 0.051
22 F 0.500 0.158 0.171
23 F 0.500 0.185 0.423
24 F 0.500 0.227 0.673

---

(6)
The following is a DFT calculation (PBE+U) of an optimized crystal structure of CsV2I3O13.

Properties
formation energy from the elements	-1.50	eV per atom
calculated density	4.44	g/cm³

a b c (Å): 8.216 9.726 9.726
angles (deg): 66.74 65.01 65.01
Sites, in units of the cell vectors:
1 Cs 0.622 0.859 0.641
2 Cs 0.122 0.141 0.359
3 V 0.751 0.110 0.147
4 V 0.251 0.647 0.610
5 V 0.008 0.890 0.853
6 V 0.508 0.353 0.390
7 I 0.114 0.236 0.750
8 I 0.601 0.750 0.264
9 I 0.614 0.250 0.736
10 I 0.898 0.524 0.976
11 I 0.398 0.476 0.024
12 I 0.101 0.764 0.250
13 O 0.443 0.146 0.812
14 O 0.207 0.738 0.762
15 O 0.902 0.688 0.354
16 O 0.470 0.724 0.483
17 O 0.691 0.582 0.918
18 O 0.342 0.500 0.500
19 O 0.598 0.020 0.280
20 O 0.370 0.477 0.227
21 O 0.970 0.983 0.224
22 O 0.898 0.980 0.720
23 O 0.943 0.312 0.646
24 O 0.664 0.547 0.253
25 O 0.964 0.247 0.953
26 O 0.402 0.854 0.188
27 O 0.191 0.418 0.082
28 O 0.074 0.523 0.773
29 O 0.164 0.753 0.047
30 O 0.707 0.262 0.238
31 O 0.176 0.017 0.776
32 O 0.574 0.273 0.023
33 O 0.098 0.780 0.520
34 O 0.398 0.220 0.480
35 O 0.676 0.276 0.517
36 O 0.464 0.453 0.747
37 O 0.870 0.727 0.977
38 O 0.842 0.000 0.000

---

(7)
The following is a DFT calculation (PBE+U) of an optimized crystal structure of Fe3OF5.

Properties
formation energy from the elements	-2.35	eV per atom
calculated density	4.14	g/cm³

a b c (Å): 4.828 4.828 9.586
angles (deg): 89.85 89.85 92.34
Sites, in units of the cell vectors:
1 Fe 0.030 0.030 0.839
2 Fe 0.970 0.970 0.161
3 Fe 0.000 0.000 0.500
4 Fe 0.500 0.500 0.000
5 Fe 0.494 0.494 0.675
6 Fe 0.506 0.506 0.325
7 O 0.684 0.684 0.150
8 O 0.316 0.316 0.850
9 F 0.200 0.800 0.000
10 F 0.187 0.799 0.328
11 F 0.201 0.813 0.672
12 F 0.718 0.718 0.845
13 F 0.692 0.692 0.503
14 F 0.282 0.282 0.155
15 F 0.308 0.308 0.497
16 F 0.800 0.200 0.000
17 F 0.813 0.201 0.672
18 F 0.799 0.187 0.328

---

(8)
The following is a DFT calculation (PBE+U) of an optimized crystal structure of LiV8O16.

Properties
formation energy from the elements	-2.36	eV per atom
calculated density	3.43	g/cm³

a b c (Å): 5.235 5.874 10.554
angles (deg): 90.00 90.01 87.19
Sites, in units of the cell vectors:
1 Li 0.182 0.234 0.250
2 V 0.499 0.751 0.488
3 V 0.499 0.751 0.012
4 V 0.502 0.252 0.502
5 V 0.502 0.252 0.998
6 V 0.996 0.498 0.501
7 V 0.001 0.996 0.997
8 V 0.001 0.996 0.503
9 V 0.996 0.498 0.999
10 O 0.842 0.745 0.406
11 O 0.842 0.745 0.094
12 O 0.164 0.259 0.592
13 O 0.163 0.259 0.908
14 O 0.165 0.757 0.589
15 O 0.166 0.757 0.911
16 O 0.844 0.246 0.405
17 O 0.844 0.246 0.095
18 O 0.661 0.507 0.587
19 O 0.661 0.006 0.913
20 O 0.327 0.006 0.401
21 O 0.329 0.485 0.099
22 O 0.329 0.485 0.401
23 O 0.326 0.006 0.099
24 O 0.661 0.006 0.587
25 O 0.661 0.507 0.913